Entry from the Materials Project database: crystalline K3Nb7O19 at its relaxed geometry (PBE).

Lattice parameters (Å, degrees): 6.589 14.456 19.465 80.15 88.00 84.94
Atoms (fractional coordinates):
1 K 0.404 0.135 0.738
2 K 0.209 0.728 0.961
3 K 0.211 0.414 0.342
4 K 0.222 0.257 0.534
5 K 0.596 0.865 0.262
6 K 0.703 0.410 0.842
7 K 0.904 0.139 0.238
8 K 0.778 0.743 0.466
9 K 0.297 0.590 0.158
10 K 0.789 0.586 0.658
11 K 0.791 0.272 0.039
12 K 0.096 0.861 0.762
13 Nb 0.260 0.606 0.797
14 Nb 0.331 0.312 0.174
15 Nb 0.669 0.688 0.826
16 Nb 0.260 0.919 0.409
17 Nb 0.242 0.082 0.091
18 Nb 0.788 0.465 0.486
19 Nb 0.290 0.462 0.988
20 Nb 0.307 0.993 0.561
21 Nb 0.799 0.152 0.859
22 Nb 0.229 0.241 0.896
23 Nb 0.740 0.394 0.203
24 Nb 0.212 0.535 0.514
25 Nb 0.758 0.918 0.909
26 Nb 0.201 0.848 0.141
27 Nb 0.740 0.081 0.591
28 Nb 0.727 0.244 0.396
29 Nb 0.238 0.388 0.703
30 Nb 0.703 0.847 0.640
31 Nb 0.806 0.995 0.061
32 Nb 0.771 0.759 0.104
33 Nb 0.175 0.688 0.328
34 Nb 0.710 0.538 0.012
35 Nb 0.693 0.007 0.439
36 Nb 0.273 0.756 0.604
37 Nb 0.194 0.005 0.939
38 Nb 0.762 0.612 0.297
39 Nb 0.825 0.312 0.672
40 Nb 0.297 0.153 0.360
41 O 0.782 0.533 0.388
42 O 0.147 0.954 0.041
43 O 0.801 0.218 0.769
44 O 0.282 0.530 0.889
45 O 0.073 0.755 0.093
46 O 0.932 0.093 0.096
47 O 0.271 0.693 0.695
48 O 0.735 0.815 0.867
49 O 0.767 0.696 0.196
50 O 0.927 0.245 0.907
51 O 0.987 0.654 0.806
52 O 0.257 0.028 0.333
53 O 0.123 0.278 0.668
54 O 0.294 0.378 0.080
55 O 0.526 0.186 0.885
56 O 0.751 0.502 0.250
57 O 0.890 0.565 0.524
58 O 0.759 0.026 0.833
59 O 0.706 0.622 0.920
60 O 0.041 0.040 0.575
61 O 0.775 0.338 0.446
62 O 0.460 0.959 0.925
63 O 0.404 0.412 0.216
64 O 0.648 0.953 0.541
65 O 0.575 0.754 0.592
66 O 0.718 0.470 0.111
67 O 0.425 0.246 0.408
68 O 0.767 0.874 0.013
69 O 0.013 0.346 0.194
70 O 0.798 0.377 0.580
71 O 0.228 0.817 0.367
72 O 0.853 0.046 0.959
73 O 0.202 0.623 0.420
74 O 0.000 0.500 0.000
75 O 0.068 0.907 0.904
76 O 0.636 0.108 0.359
77 O 0.974 0.812 0.614
78 O 0.095 0.591 0.283
79 O 0.390 0.565 0.024
80 O 0.026 0.188 0.386
81 O 0.233 0.304 0.804
82 O 0.272 0.337 0.946
83 O 0.772 0.183 0.633
84 O 0.137 0.106 0.859
85 O 0.233 0.126 0.987
86 O 0.728 0.663 0.054
87 O 0.110 0.435 0.476
88 O 0.241 0.974 0.167
89 O 0.700 0.780 0.731
90 O 0.540 0.041 0.075
91 O 0.474 0.814 0.115
92 O 0.877 0.722 0.332
93 O 0.959 0.960 0.425
94 O 0.249 0.498 0.750
95 O 0.300 0.220 0.269
96 O 0.514 0.342 0.694
97 O 0.567 0.908 0.403
98 O 0.218 0.467 0.612
99 O 0.610 0.435 0.976
100 O 0.377 0.720 0.832
101 O 0.364 0.892 0.641
102 O 0.623 0.280 0.168
103 O 0.743 0.972 0.667
104 O 0.433 0.092 0.597
105 O 0.352 0.047 0.459
106 O 0.265 0.185 0.133
107 O 0.266 0.874 0.513
108 O 0.500 0.500 0.500
109 O 0.734 0.126 0.487
110 O 0.486 0.658 0.306
111 O 0.905 0.409 0.717
112 O 0.225 0.662 0.554
113 O 0.729 0.307 0.305
114 O 0.199 0.782 0.231
115 O 0.863 0.894 0.141
116 O 0.596 0.588 0.784

=====

Entry from the Materials Project database: crystalline KNbPO5 at its relaxed geometry (PBE).

Lattice parameters (Å, degrees): 6.619 11.221 13.366 90.00 90.00 90.00
Atoms (fractional coordinates):
1 K 0.189 0.589 0.102
2 K 0.811 0.089 0.898
3 K 0.311 0.589 0.602
4 K 0.689 0.089 0.398
5 K 0.773 0.326 0.124
6 K 0.227 0.826 0.876
7 K 0.727 0.326 0.624
8 K 0.273 0.826 0.376
9 Nb 0.249 0.273 0.253
10 Nb 0.751 0.773 0.747
11 Nb 0.251 0.273 0.753
12 Nb 0.749 0.773 0.247
13 Nb 0.498 0.026 0.128
14 Nb 0.502 0.526 0.872
15 Nb 0.002 0.026 0.628
16 Nb 0.998 0.526 0.372
17 P 0.002 0.025 0.180
18 P 0.998 0.525 0.820
19 P 0.498 0.025 0.680
20 P 0.502 0.525 0.320
21 P 0.339 0.277 0.001
22 P 0.661 0.777 0.999
23 P 0.161 0.277 0.501
24 P 0.839 0.777 0.499
25 O 0.186 0.006 0.109
26 O 0.814 0.506 0.891
27 O 0.314 0.006 0.609
28 O 0.686 0.506 0.391
29 O 0.199 0.294 0.094
30 O 0.801 0.794 0.906
31 O 0.301 0.294 0.594
32 O 0.699 0.794 0.406
33 O 0.032 0.393 0.489
34 O 0.968 0.893 0.511
35 O 0.468 0.393 0.989
36 O 0.532 0.893 0.011
37 O 0.033 0.132 0.252
38 O 0.967 0.632 0.748
39 O 0.467 0.132 0.752
40 O 0.533 0.632 0.248
41 O 0.489 0.171 0.016
42 O 0.511 0.671 0.984
43 O 0.011 0.171 0.516
44 O 0.989 0.671 0.484
45 O 0.315 0.551 0.388
46 O 0.685 0.051 0.612
47 O 0.185 0.551 0.888
48 O 0.815 0.051 0.112
49 O 0.044 0.401 0.276
50 O 0.956 0.901 0.724
51 O 0.456 0.401 0.776
52 O 0.544 0.901 0.224
53 O 0.299 0.255 0.409
54 O 0.701 0.755 0.591
55 O 0.201 0.255 0.909
56 O 0.799 0.755 0.091
57 O 0.470 0.413 0.254
58 O 0.530 0.913 0.746
59 O 0.030 0.413 0.754
60 O 0.970 0.913 0.246
61 O 0.459 0.150 0.225
62 O 0.541 0.650 0.775
63 O 0.041 0.150 0.725
64 O 0.959 0.650 0.275

=====

Entry from the Materials Project database: crystalline KNb3P3O15 at its relaxed geometry (PBE).

Lattice parameters (Å, degrees): 14.990 6.569 15.045 64.05 90.00 90.00
Atoms (fractional coordinates):
1 K 0.823 0.920 0.491
2 K 0.323 0.080 0.009
3 K 0.177 0.080 0.509
4 K 0.677 0.920 0.991
5 Nb 0.887 0.437 0.062
6 Nb 0.113 0.563 0.938
7 Nb 0.613 0.437 0.562
8 Nb 0.387 0.563 0.438
9 Nb 0.474 0.360 0.141
10 Nb 0.526 0.640 0.859
11 Nb 0.026 0.360 0.641
12 Nb 0.974 0.640 0.359
13 Nb 0.777 0.692 0.807
14 Nb 0.223 0.308 0.193
15 Nb 0.723 0.692 0.307
16 Nb 0.277 0.308 0.693
17 P 0.880 0.875 0.126
18 P 0.120 0.125 0.874
19 P 0.620 0.875 0.626
20 P 0.380 0.125 0.374
21 P 0.702 0.272 0.228
22 P 0.298 0.728 0.772
23 P 0.798 0.272 0.728
24 P 0.202 0.728 0.272
25 P 0.003 0.206 0.294
26 P 0.997 0.794 0.706
27 P 0.497 0.206 0.794
28 P 0.503 0.794 0.206
29 O 0.826 0.566 0.935
30 O 0.174 0.434 0.065
31 O 0.674 0.566 0.435
32 O 0.326 0.434 0.565
33 O 0.606 0.313 0.187
34 O 0.394 0.687 0.813
35 O 0.894 0.313 0.687
36 O 0.106 0.687 0.313
37 O 0.953 0.796 0.204
38 O 0.047 0.204 0.796
39 O 0.547 0.796 0.704
40 O 0.453 0.204 0.296
41 O 0.945 0.300 0.200
42 O 0.055 0.700 0.800
43 O 0.555 0.300 0.700
44 O 0.445 0.700 0.300
45 O 0.765 0.363 0.138
46 O 0.235 0.637 0.862
47 O 0.735 0.363 0.638
48 O 0.265 0.637 0.362
49 O 0.716 0.832 0.668
50 O 0.284 0.168 0.332
51 O 0.784 0.832 0.168
52 O 0.216 0.168 0.832
53 O 0.887 0.132 0.059
54 O 0.114 0.249 0.941
55 O 0.614 0.751 0.559
56 O 0.387 0.868 0.441
57 O 0.113 0.868 0.941
58 O 0.886 0.751 0.059
59 O 0.386 0.249 0.441
60 O 0.613 0.132 0.559
61 O 0.897 0.771 0.729
62 O 0.103 0.229 0.271
63 O 0.603 0.771 0.229
64 O 0.397 0.229 0.771
65 O 0.780 0.393 0.795
66 O 0.220 0.983 0.205
67 O 0.720 0.017 0.295
68 O 0.280 0.607 0.705
69 O 0.220 0.607 0.205
70 O 0.780 0.017 0.795
71 O 0.280 0.983 0.705
72 O 0.720 0.393 0.295
73 O 0.500 0.500 0.000
74 O 0.000 0.500 0.500
75 O 0.979 0.954 0.359
76 O 0.021 0.672 0.641
77 O 0.521 0.328 0.859
78 O 0.479 0.046 0.141
79 O 0.021 0.046 0.641
80 O 0.979 0.328 0.359
81 O 0.479 0.672 0.141
82 O 0.521 0.954 0.859
83 O 0.000 0.500 0.000
84 O 0.500 0.500 0.500
85 O 0.654 0.637 0.865
86 O 0.346 0.363 0.135
87 O 0.846 0.637 0.365
88 O 0.154 0.363 0.635

=====

Entry from the Materials Project database: crystalline K3NbP2O9 at its relaxed geometry (PBE).

Lattice parameters (Å, degrees): 17.936 5.294 9.940 89.92 90.00 90.00
Atoms (fractional coordinates):
1 K 0.863 0.756 0.077
2 K 0.637 0.756 0.577
3 K 0.426 0.250 0.042
4 K 0.363 0.244 0.423
5 K 0.137 0.244 0.923
6 K 0.705 0.251 0.958
7 K 0.205 0.749 0.542
8 K 0.295 0.749 0.042
9 K 0.795 0.251 0.458
10 K 0.074 0.250 0.542
11 K 0.574 0.750 0.958
12 K 0.926 0.750 0.458
13 Nb 0.411 0.764 0.686
14 Nb 0.589 0.236 0.314
15 Nb 0.911 0.236 0.814
16 Nb 0.089 0.764 0.186
17 P 0.711 0.745 0.264
18 P 0.211 0.255 0.236
19 P 0.961 0.263 0.171
20 P 0.461 0.737 0.329
21 P 0.789 0.745 0.764
22 P 0.039 0.737 0.829
23 P 0.289 0.255 0.736
24 P 0.539 0.263 0.671
25 O 0.420 0.774 0.864
26 O 0.403 0.749 0.444
27 O 0.699 0.748 0.113
28 O 0.301 0.252 0.887
29 O 0.071 0.773 0.689
30 O 0.977 0.940 0.858
31 O 0.597 0.251 0.556
32 O 0.080 0.774 0.364
33 O 0.663 0.523 0.332
34 O 0.291 0.282 0.190
35 O 0.709 0.718 0.810
36 O 0.523 0.940 0.358
37 O 0.837 0.523 0.832
38 O 0.097 0.749 0.944
39 O 0.023 0.060 0.142
40 O 0.499 0.528 0.660
41 O 0.920 0.226 0.636
42 O 0.678 0.994 0.332
43 O 0.903 0.251 0.056
44 O 0.209 0.282 0.690
45 O 0.429 0.773 0.189
46 O 0.322 0.006 0.668
47 O 0.791 0.718 0.310
48 O 0.822 0.994 0.832
49 O 0.163 0.477 0.168
50 O 0.801 0.748 0.613
51 O 0.929 0.227 0.311
52 O 0.199 0.252 0.387
53 O 0.178 0.006 0.168
54 O 0.999 0.472 0.840
55 O 0.501 0.472 0.340
56 O 0.477 0.060 0.642
57 O 0.580 0.226 0.136
58 O 0.001 0.528 0.160
59 O 0.571 0.227 0.811
60 O 0.337 0.477 0.668

=====

Entry from the Materials Project database: crystalline K4Nb8SiP4O34 at its relaxed geometry (PBE).

Lattice parameters (Å, degrees): 10.781 10.781 6.525 90.00 90.00 90.00
Atoms (fractional coordinates):
1 K 0.500 0.500 0.500
2 K 0.000 0.500 0.300
3 K 0.500 0.000 0.700
4 K 0.000 0.000 0.500
5 Nb 0.178 0.178 0.000
6 Nb 0.822 0.822 0.000
7 Nb 0.822 0.178 0.000
8 Nb 0.178 0.822 0.000
9 Nb 0.500 0.187 0.202
10 Nb 0.813 0.500 0.798
11 Nb 0.187 0.500 0.798
12 Nb 0.500 0.813 0.202
13 Si 0.500 0.500 0.000
14 P 0.240 0.240 0.500
15 P 0.240 0.760 0.500
16 P 0.760 0.760 0.500
17 P 0.760 0.240 0.500
18 O 0.161 0.196 0.313
19 O 0.839 0.804 0.313
20 O 0.804 0.161 0.687
21 O 0.196 0.839 0.687
22 O 0.839 0.196 0.313
23 O 0.804 0.839 0.687
24 O 0.196 0.161 0.687
25 O 0.161 0.804 0.313
26 O 0.825 0.000 0.028
27 O 0.000 0.825 0.972
28 O 0.000 0.175 0.972
29 O 0.175 0.000 0.028
30 O 0.500 0.375 0.149
31 O 0.625 0.500 0.851
32 O 0.375 0.500 0.851
33 O 0.500 0.625 0.149
34 O 0.378 0.214 0.459
35 O 0.500 0.000 0.254
36 O 0.000 0.500 0.746
37 O 0.363 0.828 0.022
38 O 0.172 0.363 0.978
39 O 0.828 0.637 0.978
40 O 0.637 0.172 0.022
41 O 0.172 0.637 0.978
42 O 0.828 0.363 0.978
43 O 0.637 0.828 0.022
44 O 0.363 0.172 0.022
45 O 0.378 0.786 0.459
46 O 0.214 0.378 0.541
47 O 0.786 0.622 0.541
48 O 0.622 0.214 0.459
49 O 0.214 0.622 0.541
50 O 0.786 0.378 0.541
51 O 0.622 0.786 0.459

Calculated values
Maximum piezoelectric response = 0.8 C/m²

=====

Entry from the Materials Project database: crystalline KNb5Pb2O15 at its relaxed geometry (PBE).

Lattice parameters (Å, degrees): 3.982 12.889 12.939 90.00 90.00 90.00
Atoms (fractional coordinates):
1 K 0.500 0.674 0.924
2 K 0.500 0.174 0.076
3 Nb 0.000 0.569 0.465
4 Nb 0.000 0.415 0.039
5 Nb 0.000 0.069 0.535
6 Nb 0.000 0.915 0.961
7 Nb 0.000 0.283 0.335
8 Nb 0.000 0.702 0.175
9 Nb 0.000 0.202 0.825
10 Nb 0.000 0.783 0.665
11 Nb 0.000 0.502 0.759
12 Nb 0.000 0.002 0.241
13 Pb 0.500 0.490 0.254
14 Pb 0.500 0.990 0.746
15 Pb 0.500 0.821 0.369
16 Pb 0.500 0.321 0.631
17 O 0.500 0.582 0.449
18 O 0.500 0.430 0.046
19 O 0.500 0.082 0.551
20 O 0.500 0.930 0.954
21 O 0.500 0.302 0.324
22 O 0.500 0.717 0.182
23 O 0.500 0.217 0.818
24 O 0.500 0.802 0.676
25 O 0.000 0.718 0.534
26 O 0.000 0.289 0.963
27 O 0.000 0.218 0.466
28 O 0.000 0.789 0.037
29 O 0.000 0.498 0.591
30 O 0.000 0.505 0.904
31 O 0.000 0.998 0.409
32 O 0.000 0.005 0.096
33 O 0.000 0.156 0.253
34 O 0.000 0.846 0.264
35 O 0.000 0.346 0.736
36 O 0.000 0.656 0.747
37 O 0.000 0.643 0.314
38 O 0.000 0.363 0.180
39 O 0.000 0.143 0.686
40 O 0.000 0.863 0.820
41 O 0.000 0.438 0.381
42 O 0.000 0.573 0.108
43 O 0.000 0.073 0.892
44 O 0.000 0.938 0.619
45 O 0.500 0.489 0.742
46 O 0.500 0.989 0.258

Calculated values
E above lowest polymorph = 11 meV/atom

=====

It is found that the ΔE_f values, taken in the order of the records, are -86.02, -22.11, -63.63, -41.74, -150.17, -63.50 eV/f.u..